First-principles (PBE) data for a relaxed structure of Mg4AlSi6, as listed in Materials Project.

```
11
Lattice="1.8379 8.1734 0.0000 -1.8379 8.1734 0.0000 0.0000 0.2457 6.7301" Properties=species:S:1:pos:R:3 pbc="T T T"
Si 0.0000 3.2084 2.3165
Si 0.0000 3.6364 4.7814
Si 0.0000 12.9561 1.9487
Si 0.0000 13.3840 4.4136
Si 0.0000 15.6952 5.0839
Si 0.0000 0.8972 1.6462
Mg 0.0000 5.6746 6.6628
Mg 0.0000 6.9630 2.7327
Mg 0.0000 9.6294 3.9974
Mg 0.0000 10.9178 0.0674
Al 0.0000 8.1734 0.0000
```

Values from the calculation:
Magnetic moment: 0.0 μB per cell
Uncorrected energy: -41.4 eV per cell